[1]
# CdCu2

Crystalline CdCu2 at its relaxed geometry (r²SCAN, the Materials Project database).

```
24
Lattice="-4.356 -2.395 0.557 4.272 -2.237 1.328 -1.420 5.994 14.662" Properties=species:S:1:pos:R:3 pbc="T T T"
Cu -1.796 3.339 11.398
Cu 0.291 -1.977 5.149
Cu -2.368 1.405 9.981
Cu 2.497 -0.765 4.867
Cu -0.752 0.681 8.274
Cu 1.218 -1.539 2.908
Cu 1.426 1.878 7.995
Cu -2.888 1.800 7.609
Cu -1.838 0.994 12.353
Cu 0.864 -0.044 6.566
Cu 2.136 -1.119 0.664
Cu -2.722 2.901 13.640
Cu -4.001 2.127 11.680
Cu -2.178 -1.197 0.279
Cu 0.334 0.368 4.194
Cu -0.042 -2.316 0.943
Cd -0.576 2.431 5.948
Cd 0.465 1.640 10.684
Cd -1.286 5.428 13.278
Cd -0.134 0.565 1.383
Cd -0.844 3.562 8.714
Cd -1.969 -0.278 5.864
Cd -1.701 -1.410 3.096
Cd 0.197 2.771 13.451
```

Results
E_form	0.010	eV/atom
electronic total energy	-13.923	eV/atom



[2]
# CdCu2

Crystalline CdCu2 at its relaxed geometry (r²SCAN, the Materials Project database).

```
12
Lattice="-4.021 2.569 1.527 -0.186 -2.652 -4.247 -2.498 -6.322 4.057" Properties=species:S:1:pos:R:3 pbc="T T T"
Cd -1.617 -1.298 -2.074
Cd -5.088 -5.106 3.411
Cd -2.560 -3.686 -0.542
Cd -4.144 -2.719 1.879
Cu -3.998 0.106 1.566
Cu -4.690 -5.244 0.524
Cu -2.616 -5.203 1.865
Cu -2.015 -1.160 0.813
Cu -2.707 -6.511 -0.229
Cu -1.249 -3.161 2.028
Cu 0.000 0.000 0.000
Cu -4.089 -1.201 -0.528
```

Results
E_form	0.013	eV/atom
electronic total energy	-13.920	eV/atom



[3]
# DyCdCu

Crystalline DyCdCu at its relaxed geometry (r²SCAN, the Materials Project database).

```
9
Lattice="0.350 2.931 6.790 -4.780 2.712 -4.961 -2.694 -2.511 1.223" Properties=species:S:1:pos:R:3 pbc="T T T"
Dy -1.203 -0.047 3.411
Dy -3.950 2.061 1.686
Dy -3.318 -0.137 -1.434
Cd 0.262 2.198 5.092
Cd -3.584 2.034 -3.720
Cd -1.108 1.411 0.457
Cu -3.070 2.785 -1.044
Cu -1.347 -1.256 0.611
Cu -1.360 2.858 2.873
```

Results
E_form	-0.330	eV/atom
electronic total energy	-21.308	eV/atom